Mg5Pd2 | GGA-PBE | relaxed

Calculated values
For the formation energy, the calculation gives -0.325 eV/atom. The value obtained for the volume is 19.8 A^3/atom. As for the total magnetic moment: 0.16 Bohr magnetons per cell. The calculation puts the total energy at -2.95 eV/atom. Its energy relative to the lowest polymorph listed for this composition is 0.147 eV/atom.

Cell: 9.039 9.039 7.828 Å, 90.00 90.00 120.00°
Positions (direct):
Mg 0.000 0.000 0.000
Mg 0.000 0.000 0.500
Mg 0.024 0.512 0.250
Mg 0.199 0.397 0.551
Mg 0.199 0.397 0.949
Mg 0.199 0.801 0.551
Mg 0.199 0.801 0.949
Mg 0.397 0.199 0.051
Mg 0.397 0.199 0.449
Mg 0.488 0.512 0.250
Mg 0.488 0.976 0.250
Mg 0.512 0.024 0.750
Mg 0.512 0.488 0.750
Mg 0.603 0.801 0.551
Mg 0.603 0.801 0.949
Mg 0.801 0.199 0.051
Mg 0.801 0.199 0.449
Mg 0.801 0.603 0.051
Mg 0.801 0.603 0.449
Mg 0.976 0.488 0.750
Pd 0.123 0.247 0.250
Pd 0.123 0.877 0.250
Pd 0.247 0.123 0.750
Pd 0.333 0.667 0.250
Pd 0.667 0.333 0.750
Pd 0.753 0.877 0.250
Pd 0.877 0.123 0.750
Pd 0.877 0.753 0.750



CeMg2 | GGA-PBE | relaxed

Calculated values
For the formation energy, the calculation gives 0.080 eV/atom. The value obtained for the volume is 26.2 A^3/atom. As for the total magnetic moment: 2.98 Bohr magnetons per cell. The calculation puts the total energy at -2.96 eV/atom.

Cell: 5.956 5.956 5.126 Å, 90.00 90.00 59.79°
Positions (direct):
Ce 0.129 0.871 0.750
Ce 0.871 0.129 0.250
Mg 0.183 0.473 0.250
Mg 0.473 0.183 0.750
Mg 0.527 0.817 0.250
Mg 0.817 0.527 0.750



BaNdTi4O12 | GGA-PBE | relaxed

Calculated values
For the formation energy, the calculation gives -3.137 eV/atom. The value obtained for the volume is 13.4 A^3/atom. As for the total magnetic moment: 3.00 Bohr magnetons per cell. Its MP2020-corrected energy is -8.56 eV per atom. The calculation puts the total energy at -8.10 eV/atom.

Cell: 5.548 5.548 7.810 Å, 90.00 90.00 90.00°
Positions (direct):
Ba 0.000 0.000 0.000
Nd 0.500 0.500 0.500
Ti 0.000 0.500 0.251
Ti 0.000 0.500 0.749
Ti 0.500 0.000 0.251
Ti 0.500 0.000 0.749
O 0.000 0.500 0.000
O 0.000 0.500 0.500
O 0.257 0.257 0.263
O 0.257 0.257 0.737
O 0.257 0.743 0.263
O 0.257 0.743 0.737
O 0.500 0.000 0.000
O 0.500 0.000 0.500
O 0.743 0.257 0.263
O 0.743 0.257 0.737
O 0.743 0.743 0.263
O 0.743 0.743 0.737



Sb3C2NO2F16 | GGA-PBE | relaxed

Calculated values
For the formation energy, the calculation gives -2.243 eV/atom. The value obtained for the volume is 16.7 A^3/atom. As for the total magnetic moment: 0.00 Bohr magnetons per cell. Its MP2020-corrected energy is -5.56 eV per atom. The calculation puts the total energy at -5.20 eV/atom.

Cell: 9.874 7.567 21.558 Å, 90.00 94.58 90.00°
Positions (direct):
Sb 0.171 0.250 0.016
Sb 0.171 0.250 0.516
Sb 0.267 0.227 0.252
Sb 0.267 0.273 0.752
Sb 0.297 0.608 0.898
Sb 0.297 0.892 0.398
Sb 0.703 0.108 0.602
Sb 0.703 0.392 0.102
Sb 0.733 0.727 0.248
Sb 0.733 0.773 0.748
Sb 0.829 0.750 0.484
Sb 0.829 0.750 0.984
C 0.191 0.742 0.139
C 0.191 0.758 0.639
C 0.388 0.652 0.600
C 0.388 0.848 0.100
C 0.612 0.152 0.900
C 0.612 0.348 0.400
C 0.809 0.242 0.361
C 0.809 0.258 0.861
N 0.301 0.739 0.115
N 0.301 0.761 0.615
N 0.699 0.239 0.385
N 0.699 0.261 0.885
O 0.090 0.730 0.162
O 0.090 0.770 0.662
O 0.473 0.565 0.584
O 0.473 0.935 0.084
O 0.527 0.065 0.916
O 0.527 0.435 0.416
O 0.910 0.230 0.338
O 0.910 0.270 0.838
F 0.011 0.710 0.517
F 0.011 0.790 0.017
F 0.083 0.180 0.226
F 0.083 0.320 0.726
F 0.111 0.059 0.563
F 0.111 0.441 0.063
F 0.136 0.738 0.880
F 0.136 0.762 0.380
F 0.171 0.081 0.081
F 0.171 0.419 0.581
F 0.176 0.063 0.442
F 0.176 0.437 0.942
F 0.215 0.107 0.811
F 0.215 0.393 0.311
F 0.232 0.034 0.322
F 0.232 0.466 0.822
F 0.234 0.087 0.958
F 0.234 0.413 0.458
F 0.293 0.105 0.689
F 0.293 0.395 0.189
F 0.317 0.025 0.205
F 0.317 0.475 0.705
F 0.342 0.719 0.976
F 0.342 0.781 0.476
F 0.353 0.180 0.538
F 0.353 0.320 0.038
F 0.403 0.749 0.849
F 0.403 0.751 0.349
F 0.432 0.067 0.412
F 0.432 0.433 0.912
F 0.449 0.235 0.288
F 0.449 0.265 0.788
F 0.551 0.735 0.212
F 0.551 0.765 0.712
F 0.568 0.567 0.088
F 0.568 0.933 0.588
F 0.597 0.249 0.651
F 0.597 0.251 0.151
F 0.647 0.680 0.962
F 0.647 0.820 0.462
F 0.658 0.219 0.524
F 0.658 0.281 0.024
F 0.683 0.525 0.295
F 0.683 0.975 0.795
F 0.707 0.605 0.811
F 0.707 0.895 0.311
F 0.766 0.587 0.542
F 0.766 0.913 0.042
F 0.768 0.534 0.178
F 0.768 0.966 0.678
F 0.785 0.607 0.689
F 0.785 0.893 0.189
F 0.824 0.563 0.058
F 0.824 0.937 0.558
F 0.829 0.581 0.419
F 0.829 0.919 0.919
F 0.864 0.238 0.620
F 0.864 0.262 0.120
F 0.889 0.559 0.937
F 0.889 0.941 0.437
F 0.917 0.680 0.274
F 0.917 0.820 0.774
F 0.989 0.210 0.983
F 0.989 0.290 0.483



- Look up the total energy of the fourth one.
  -5.20 eV/atom



- Which of these has the highest total magnetic moment?
  BaNdTi4O12



- The highest volume belongs to which entry?
  CeMg2